1.
The following is a PBE calculation of a geometry-optimized Ba3Al4Pt4 structure, from Materials Project.

Values from the calculation:
Volume in Å³/atom: 24.38
ΔE_f in eV/atom: -0.8629
M_tot in μB per cell: 0.001

Cell and atoms, written as CIF:
```
data_Ba3Al4Pt4
_cell_length_a 10.8945
_cell_length_b 8.2299
_cell_length_c 11.9666
_cell_angle_alpha 90.00
_cell_angle_beta 90.00
_cell_angle_gamma 90.00
_space_group_name_H-M_alt 'C m c m'
_space_group_IT_number 63
_space_group_name_Hall '-C 2c 2'
loop_
_atom_site_label
_atom_site_fract_x
_atom_site_fract_y
_atom_site_fract_z
Ba1 0.0000 0.0234 0.2500
Ba2 0.2187 0.0000 0.0000
Al1 0.0000 0.3973 0.1246
Al2 0.1353 0.3512 0.7500
Pt1 0.0000 0.3004 0.5739
Pt2 0.1861 0.3466 0.2500
```

***

2.
The following is a PBE calculation of a geometry-optimized MgFe4S8 structure, from Materials Project.

Values from the calculation:
Energy above the most stable polymorph in this dataset in eV per formula unit: 0.44
E (MP2020) in Ha/atom: -0.220
Volume in Å³/atom: 16.77
ΔE_f in eV/atom: -0.7200
M_tot in μB per cell: 18.007

Cell and atoms, written as CIF:
```
data_MgFe4S8
_cell_length_a 6.7398
_cell_length_b 6.7398
_cell_length_c 16.6301
_cell_angle_alpha 90.00
_cell_angle_beta 90.00
_cell_angle_gamma 120.00
_space_group_name_H-M_alt 'R -3 m'
_space_group_IT_number 166
_space_group_name_Hall '-R 3 2"'
loop_
_atom_site_label
_atom_site_fract_x
_atom_site_fract_y
_atom_site_fract_z
Mg1 0.0000 0.0000 0.0000
Fe1 0.0000 0.0000 0.5000
Fe2 0.0000 0.5000 0.0000
S1 0.0000 0.0000 0.2594
S2 0.0298 0.5149 0.2527
```

***

3.
The following is a PBE calculation of a geometry-optimized Fe2Cu6SnS8 structure, from Materials Project.

Values from the calculation:
E (MP2020) in Ha/atom: -0.190
Volume in Å³/atom: 18.10
ΔE_f in eV/atom: -0.5458
M_tot in μB per cell: 5.998

Cell and atoms, written as CIF:
```
data_Fe2Cu6SnS8
_cell_length_a 7.6087
_cell_length_b 7.6087
_cell_length_c 5.3157
_cell_angle_alpha 90.00
_cell_angle_beta 90.00
_cell_angle_gamma 90.00
_space_group_name_H-M_alt 'P -4 m 2'
_space_group_IT_number 115
_space_group_name_Hall 'P -4 -2'
loop_
_atom_site_label
_atom_site_fract_x
_atom_site_fract_y
_atom_site_fract_z
Fe1 0.0000 0.0000 0.0000
Fe2 0.0000 0.0000 0.5000
Cu1 0.0000 0.5000 0.4904
Cu2 0.2512 0.2512 0.0000
Sn1 0.5000 0.5000 0.5000
S1 0.0000 0.2420 0.2542
S2 0.2338 0.5000 0.7607
```

***

4.
The following is a PBE calculation of a geometry-optimized KLaEuSbO6 structure, from Materials Project.

Values from the calculation:
Energy above the most stable polymorph in this dataset in eV per formula unit: 0.00
E (MP2020) in Ha/atom: -0.284
Volume in Å³/atom: 15.08
ΔE_f in eV/atom: -2.7144
M_tot in μB per cell: 24.000

Cell and atoms, written as CIF:
```
data_KLaEuSbO6
_cell_length_a 8.3884
_cell_length_b 8.4689
_cell_length_c 8.4923
_cell_angle_alpha 90.00
_cell_angle_beta 90.00
_cell_angle_gamma 90.00
_space_group_name_H-M_alt 'P n n n'
_space_group_IT_number 48
loop_
_space_group_symop_operation_xyz
'x,y,z'
'-x,-y,-z'
'-x+1/2,-y+1/2,z'
'x+1/2,y+1/2,-z'
'x,-y+1/2,-z+1/2'
'-x,y+1/2,z+1/2'
'-x+1/2,y,-z+1/2'
'x+1/2,-y,z+1/2'
loop_
_atom_site_label
_atom_site_fract_x
_atom_site_fract_y
_atom_site_fract_z
K1 0.2500 0.2500 0.2500
K2 0.2500 0.7500 0.7500
La1 0.2500 0.2500 0.7500
La2 0.2500 0.7500 0.2500
Eu1 0.0000 0.0000 0.0000
Sb1 0.0000 0.0000 0.5000
O1 0.0300 0.0553 0.7341
O2 0.0381 0.7336 0.9877
O3 0.2333 0.0243 0.4647
```

***

5.
The following is a PBE calculation of a geometry-optimized BiBr7N6F4 structure, from Materials Project.

Values from the calculation:
Energy above the most stable polymorph in this dataset in eV per formula unit: 5.19
E (MP2020) in Ha/atom: -0.113
Volume in Å³/atom: 29.01
ΔE_f in eV/atom: 0.9843
M_tot in μB per cell: 0.000

Cell and atoms, written as CIF:
```
data_BiBr7N6F4
_cell_length_a 12.7827
_cell_length_b 12.7827
_cell_length_c 12.7827
_cell_angle_alpha 90.00
_cell_angle_beta 90.00
_cell_angle_gamma 90.00
_space_group_name_H-M_alt 'P a -3'
_space_group_IT_number 205
_space_group_name_Hall '-P 2ac 2ab 3'
loop_
_atom_site_label
_atom_site_fract_x
_atom_site_fract_y
_atom_site_fract_z
Bi1 0.0000 0.0000 0.0000
Br1 0.0000 0.0000 0.5000
Br2 0.0231 0.5760 0.2764
N1 0.0620 0.2386 0.6105
F1 0.0893 0.5893 0.9107
F2 0.1773 0.1773 0.1773
```

***

6.
The following is a PBE calculation of a geometry-optimized BaSrLa4Be2O10 structure, from Materials Project.

Values from the calculation:
E (MP2020) in Ha/atom: -0.292
Volume in Å³/atom: 13.85
ΔE_f in eV/atom: -3.4723
M_tot in μB per cell: 0.000

Cell and atoms, written as CIF:
```
data_BaSrLa4Be2O10
_cell_length_a 6.7847
_cell_length_b 7.4417
_cell_length_c 9.8749
_cell_angle_alpha 90.00
_cell_angle_beta 90.59
_cell_angle_gamma 90.00
_space_group_name_H-M_alt 'P 1 21 1'
_space_group_IT_number 4
_space_group_name_Hall 'P 2yb'
loop_
_atom_site_label
_atom_site_fract_x
_atom_site_fract_y
_atom_site_fract_z
Ba1 0.0825 0.0000 0.3237
Sr1 0.4174 0.0034 0.8249
La1 0.0727 0.5434 0.3243
La2 0.0944 0.2659 0.0211
La3 0.4090 0.2681 0.5231
La4 0.4312 0.5544 0.8306
Be1 0.1963 0.7731 0.6019
Be2 0.3113 0.7677 0.0974
O1 0.0162 0.2734 0.4858
O2 0.1408 0.7802 0.7710
O3 0.1594 0.2516 0.7835
O4 0.1879 0.5812 0.0647
O5 0.2014 0.9588 0.0630
O6 0.3098 0.9609 0.5673
O7 0.3169 0.5840 0.5718
O8 0.3418 0.2750 0.2765
O9 0.3747 0.7654 0.2663
O10 0.4832 0.2679 0.9922
```

***

Question: Among the records above, which one has the highest M_tot?
Answer: KLaEuSbO6

***

Question: Look up the volume of the fifth one.
Answer: 29.01 Å³/atom